A relaxed GdTmIr2 crystal, computed with r²SCAN.

**Formation energy from the elements**: -0.908 eV per atom
**Magnetization**: 6.72 Bohr magnetons per cell
**E**: -46.72 eV per atom

```
data_GdTmIr2
_chemical_formula_sum 'Gd1 Tm1 Ir2'
_cell_length_a 4.818
_cell_length_b 4.818
_cell_length_c 4.818
_cell_angle_alpha 60.00
_cell_angle_beta 60.00
_cell_angle_gamma 60.00
_space_group_name_H-M_alt 'P 1'
_space_group_IT_number 1
_space_group_name_Hall 'P 1'
loop_
_atom_site_label
_atom_site_fract_x
_atom_site_fract_y
_atom_site_fract_z
_atom_site_occupancy
Gd1 0.000 0.000 0.000 1
Tm1 0.500 0.500 0.500 1
Ir1 0.250 0.250 0.250 1
Ir2 0.750 0.750 0.750 1
```